[1]
{"formula": "Pu2HgGe", "functional": "GGA-PBE", "state": "relaxed", "energy_ev_per_cell": -34.5, "formation_enthalpy_0k_ev_per_atom": -0.26, "volume_a3_per_fu": 93.23, "cell": [[0.000, 3.599, 3.599], [3.599, 0.000, 3.599], [3.599, 3.599, 0.000]], "species": ["Pu", "Pu", "Ge", "Hg"], "fractional_positions": [[0.750, 0.750, 0.750], [0.250, 0.250, 0.250], [0.500, 0.500, 0.500], [0.000, 0.000, 0.000]]}



[2]
{"formula": "K2LiNbO4", "functional": "GGA-PBE", "state": "relaxed", "energy_ev_per_cell": -205.4, "formation_enthalpy_0k_ev_per_atom": -2.51, "volume_a3_per_fu": 142.69, "cell": [[6.153, 0.000, 0.000], [0.090, 8.680, 0.000], [1.711, 0.432, 10.688]], "species": ["O", "O", "O", "O", "O", "O", "O", "O", "O", "O", "O", "O", "O", "O", "O", "O", "Li", "Li", "Li", "Li", "K", "K", "K", "K", "K", "K", "K", "K", "Nb", "Nb", "Nb", "Nb"], "fractional_positions": [[0.100, 0.696, 0.097], [0.652, 0.478, 0.122], [0.875, 0.332, 0.905], [0.866, 0.925, 0.370], [0.035, 0.283, 0.161], [0.431, 0.775, 0.359], [0.546, 0.188, 0.658], [0.158, 0.403, 0.591], [0.902, 0.705, 0.859], [0.339, 0.887, 0.871], [0.411, 0.567, 0.873], [0.602, 0.782, 0.616], [0.144, 0.038, 0.627], [0.827, 0.579, 0.392], [0.405, 0.210, 0.396], [0.626, 0.106, 0.082], [0.603, 0.740, 0.791], [0.414, 0.961, 0.693], [0.902, 0.545, 0.210], [0.703, 0.532, 0.937], [0.130, 0.740, 0.572], [0.644, 0.807, 0.114], [0.822, 0.051, 0.809], [0.321, 0.262, 0.909], [0.245, 0.018, 0.241], [0.745, 0.456, 0.663], [0.308, 0.490, 0.308], [0.838, 0.215, 0.411], [0.681, 0.768, 0.436], [0.177, 0.707, 0.925], [0.790, 0.287, 0.077], [0.307, 0.216, 0.566]]}



[3]
{"formula": "ZnCdSb2", "functional": "GGA-PBE", "state": "relaxed", "energy_ev_per_cell": -41.9, "formation_enthalpy_0k_ev_per_atom": -0.11, "volume_a3_per_fu": 111.87, "cell": [[-3.288, -5.572, 0.370], [2.390, -0.900, 7.688], [-6.900, 4.247, 2.643]], "species": ["Sb", "Sb", "Sb", "Sb", "Sb", "Sb", "Sb", "Sb", "Cd", "Cd", "Cd", "Cd", "Zn", "Zn", "Zn", "Zn"], "fractional_positions": [[0.635, 0.413, 0.890], [0.365, 0.913, 0.610], [0.865, 0.587, 0.390], [0.855, 0.930, 0.898], [0.135, 0.087, 0.110], [0.645, 0.070, 0.398], [0.355, 0.570, 0.102], [0.145, 0.430, 0.602], [0.541, 0.881, 0.131], [0.041, 0.619, 0.869], [0.459, 0.381, 0.369], [0.959, 0.119, 0.631], [0.948, 0.386, 0.134], [0.552, 0.614, 0.634], [0.052, 0.886, 0.366], [0.448, 0.114, 0.866]]}



[4]
{"formula": "BaMg14CuO16", "functional": "GGA-PBE", "state": "relaxed", "energy_ev_per_cell": -183.4, "formation_enthalpy_0k_ev_per_atom": -2.71, "volume_a3_per_fu": 341.02, "cell": [[-7.791, -3.994, -0.579], [1.365, -3.793, 7.794], [-1.917, 3.448, 2.014]], "species": ["O", "O", "O", "O", "O", "O", "O", "O", "O", "O", "O", "O", "O", "O", "O", "O", "Ba", "Mg", "Mg", "Mg", "Mg", "Mg", "Mg", "Mg", "Mg", "Mg", "Mg", "Mg", "Mg", "Mg", "Mg", "Cu"], "fractional_positions": [[0.220, 0.500, 0.000], [0.500, 0.780, 0.000], [0.750, 0.000, 0.000], [0.500, 0.000, 0.500], [0.500, 0.220, 0.000], [0.500, 0.500, 0.500], [0.250, 0.000, 0.000], [0.250, 0.250, 0.500], [0.780, 0.500, 0.000], [0.250, 0.750, 0.500], [0.750, 0.250, 0.500], [0.000, 0.750, 0.000], [0.000, 0.250, 0.000], [0.000, 0.500, 0.500], [0.000, 0.000, 0.500], [0.750, 0.750, 0.500], [0.500, 0.500, 0.000], [0.761, 0.239, 0.000], [0.000, 0.244, 0.500], [0.500, 0.769, 0.500], [0.500, 0.000, 0.000], [0.239, 0.761, 0.000], [0.239, 0.239, 0.000], [0.231, 0.500, 0.500], [0.244, 0.000, 0.500], [0.769, 0.500, 0.500], [0.756, 0.000, 0.500], [0.000, 0.500, 0.000], [0.761, 0.761, 0.000], [0.500, 0.231, 0.500], [0.000, 0.756, 0.500], [0.000, 0.000, 0.000]]}



[5]
{"formula": "Rb3Mo", "functional": "GGA-PBE", "state": "relaxed", "energy_ev_per_cell": -9.0, "formation_enthalpy_0k_ev_per_atom": 1.20, "volume_a3_per_fu": 233.73, "cell": [[2.666, -4.226, 4.780], [-1.756, 0.752, 6.645], [-4.016, -4.718, 3.070]], "species": ["Rb", "Rb", "Rb", "Mo"], "fractional_positions": [[0.500, 0.500, 0.500], [0.250, 0.250, 0.250], [0.750, 0.750, 0.750], [0.000, 0.000, 0.000]]}



[6]
{"formula": "Na7HfMg3P5SO24", "functional": "GGA-PBE", "state": "relaxed", "energy_ev_per_cell": -815.8, "formation_enthalpy_0k_ev_per_atom": -2.79, "volume_a3_per_fu": 521.16, "cell": [[9.021, 0.017, -0.017], [-4.496, 7.792, 0.025], [-0.042, 0.049, 22.219]], "species": ["O", "O", "O", "O", "O", "O", "O", "O", "O", "O", "O", "O", "O", "O", "O", "O", "O", "O", "O", "O", "O", "O", "O", "O", "O", "O", "O", "O", "O", "O", "O", "O", "O", "O", "O", "O", "O", "O", "O", "O", "O", "O", "O", "O", "O", "O", "O", "O", "O", "O", "O", "O", "O", "O", "O", "O", "O", "O", "O", "O", "O", "O", "O", "O", "O", "O", "O", "O", "O", "O", "O", "O", "Na", "Na", "Na", "Na", "Na", "Na", "Na", "Na", "Na", "Na", "Na", "Na", "Na", "Na", "Na", "Na", "Na", "Na", "Na", "Na", "Na", "Mg", "Mg", "Mg", "Mg", "Mg", "Mg", "Mg", "Mg", "Mg", "Hf", "Hf", "Hf", "P", "P", "P", "P", "P", "P", "P", "P", "P", "P", "P", "P", "P", "P", "P", "S", "S", "S"], "fractional_positions": [[0.185, 0.218, 0.694], [0.811, 0.788, 0.304], [0.776, 0.963, 0.691], [0.546, 0.689, 0.976], [0.786, 0.813, 0.196], [0.483, 0.365, 0.141], [0.855, 0.508, 0.422], [0.160, 0.680, 0.756], [0.695, 0.157, 0.032], [0.498, 0.352, 0.423], [0.506, 0.651, 0.578], [0.513, 0.638, 0.863], [0.847, 0.316, 0.245], [0.316, 0.836, 0.255], [0.355, 0.867, 0.577], [0.641, 0.140, 0.423], [0.982, 0.172, 0.588], [0.877, 0.515, 0.142], [0.142, 0.498, 0.578], [0.140, 0.646, 0.079], [0.313, 0.479, 0.757], [0.357, 0.871, 0.864], [0.879, 0.361, 0.641], [0.806, 0.977, 0.409], [0.974, 0.805, 0.088], [0.507, 0.858, 0.079], [0.830, 0.021, 0.090], [0.305, 0.853, 0.976], [0.642, 0.501, 0.923], [0.480, 0.325, 0.745], [0.193, 0.172, 0.088], [0.688, 0.537, 0.527], [0.212, 0.190, 0.808], [0.545, 0.851, 0.473], [0.485, 0.125, 0.635], [0.313, 0.454, 0.474], [0.813, 0.821, 0.912], [0.841, 0.524, 0.745], [0.462, 0.308, 0.029], [0.517, 0.885, 0.360], [0.527, 0.835, 0.757], [0.478, 0.163, 0.246], [0.352, 0.496, 0.078], [0.637, 0.514, 0.639], [0.845, 0.536, 0.029], [0.028, 0.812, 0.692], [0.492, 0.144, 0.923], [0.823, 0.030, 0.803], [0.148, 0.455, 0.975], [0.863, 0.362, 0.923], [0.024, 0.195, 0.911], [0.972, 0.182, 0.302], [0.150, 0.697, 0.472], [0.115, 0.638, 0.359], [0.156, 0.465, 0.255], [0.974, 0.790, 0.806], [0.180, 0.187, 0.411], [0.023, 0.215, 0.194], [0.173, 0.982, 0.912], [0.185, 0.972, 0.193], [0.691, 0.533, 0.245], [0.211, 0.027, 0.306], [0.368, 0.483, 0.360], [0.844, 0.307, 0.531], [0.832, 0.806, 0.586], [0.532, 0.685, 0.255], [0.638, 0.116, 0.143], [0.455, 0.146, 0.528], [0.687, 0.161, 0.743], [0.013, 0.826, 0.411], [0.203, 0.025, 0.587], [0.126, 0.489, 0.862], [0.674, 0.964, 0.585], [0.324, 0.024, 0.412], [0.365, 0.358, 0.252], [0.657, 0.313, 0.826], [0.644, 0.635, 0.747], [0.009, 0.642, 0.250], [0.333, 0.669, 0.666], [0.994, 0.010, 0.497], [0.298, 0.340, 0.586], [0.324, 0.297, 0.911], [0.992, 0.355, 0.748], [0.298, 0.963, 0.083], [0.332, 0.672, 0.163], [0.624, 0.999, 0.251], [0.036, 0.335, 0.080], [0.667, 0.326, 0.333], [0.664, 0.700, 0.079], [0.028, 0.696, 0.587], [0.696, 0.674, 0.417], [0.990, 0.000, 0.995], [0.974, 0.678, 0.911], [0.008, 0.009, 0.354], [0.667, 0.335, 0.687], [0.332, 0.659, 0.513], [0.996, 0.000, 0.655], [0.660, 0.327, 0.180], [0.331, 0.670, 0.323], [0.007, 0.999, 0.147], [0.335, 0.668, 0.016], [0.996, 0.002, 0.848], [0.678, 0.338, 0.480], [0.336, 0.674, 0.814], [0.667, 0.329, 0.981], [0.296, 0.999, 0.250], [0.708, 0.003, 0.748], [0.630, 0.672, 0.919], [0.331, 0.371, 0.416], [0.371, 0.336, 0.085], [0.042, 0.670, 0.416], [0.330, 0.959, 0.920], [0.629, 0.959, 0.416], [0.965, 0.334, 0.586], [0.296, 0.292, 0.750], [0.666, 0.629, 0.585], [0.961, 0.627, 0.086], [0.999, 0.707, 0.750], [0.667, 0.035, 0.087], [0.041, 0.371, 0.919], [0.706, 0.706, 0.250], [0.374, 0.040, 0.584], [0.000, 0.293, 0.249]]}